Cs2Te2O5: relaxed, GGA-PBE.

Calculated values
Formation energy   -1.747 eV per atom
VASP energy   -5.01 eV/atom
V   23.42 Å³/atom

a b c (Å): 11.168 12.271 12.308
angles (deg): 90.00 90.00 90.00
Element x y z (fractional)
1 O 0.992 0.115 0.849
2 O 0.669 0.005 0.773
3 O 0.532 0.608 0.391
4 O 0.831 0.005 0.273
5 O 0.171 0.727 0.997
6 O 0.014 0.651 0.383
7 O 0.014 0.151 0.117
8 O 0.669 0.505 0.727
9 Te 0.504 0.489 0.739
10 O 0.008 0.885 0.151
11 Te 0.996 0.989 0.261
12 O 0.532 0.108 0.109
13 Cs 0.751 0.752 0.747
14 O 0.829 0.773 0.497
15 Cs 0.212 0.996 0.997
16 Cs 0.788 0.504 0.497
17 O 0.831 0.505 0.227
18 O 0.829 0.273 0.003
19 O 0.329 0.227 0.003
20 Te 0.494 0.738 0.486
21 Te 0.504 0.989 0.761
22 O 0.331 0.995 0.227
23 Cs 0.212 0.496 0.503
24 O 0.169 0.995 0.727
25 O 0.468 0.392 0.609
26 Te 0.006 0.738 0.986
27 Te 0.494 0.238 0.014
28 Cs 0.749 0.252 0.253
29 O 0.671 0.773 0.997
30 O 0.008 0.385 0.349
31 Cs 0.249 0.748 0.247
32 O 0.492 0.385 0.849
33 Te 0.004 0.511 0.761
34 O 0.169 0.495 0.773
35 O 0.171 0.227 0.503
36 O 0.508 0.115 0.349
37 O 0.992 0.615 0.651
38 O 0.986 0.849 0.883
39 Te 0.994 0.762 0.486
40 Cs 0.712 0.004 0.503
41 O 0.032 0.392 0.109
42 Cs 0.788 0.004 0.003
43 O 0.492 0.885 0.651
44 O 0.514 0.349 0.117
45 O 0.508 0.615 0.151
46 Cs 0.712 0.504 0.997
47 O 0.486 0.151 0.617
48 Te 0.994 0.262 0.014
49 O 0.671 0.273 0.503
50 Te 0.506 0.762 0.986
51 O 0.986 0.349 0.617
52 O 0.329 0.727 0.497
53 O 0.486 0.651 0.883
54 O 0.968 0.608 0.891
55 Cs 0.288 0.496 0.003
56 O 0.331 0.495 0.273
57 Cs 0.749 0.752 0.247
58 O 0.514 0.849 0.383
59 Cs 0.251 0.248 0.753
60 Te 0.004 0.011 0.739
61 Cs 0.251 0.748 0.747
62 Cs 0.288 0.996 0.497
63 Cs 0.751 0.252 0.753
64 Te 0.996 0.489 0.239
65 Te 0.506 0.262 0.514
66 O 0.968 0.108 0.609
67 O 0.032 0.892 0.391
68 Te 0.006 0.238 0.514
69 Te 0.496 0.011 0.239
70 Te 0.496 0.511 0.261
71 Cs 0.249 0.248 0.253
72 O 0.468 0.892 0.891